No. 1
The following is a DFT calculation (PBE-GGA) of a geometry-optimized TbCeO4 structure.

Properties
**Electronic total energy**: -8.14 eV/atom
**E_form**: -3.537 eV/atom
**Magnetization**: 0.18 μB per atom
**Mass density**: 7.4 g/cm3

Cell lengths 13.4076, 7.7409, 7.7409 Å; angles 90.00, 125.26, 90.00 degrees
With the nearest neighbours (Å) after each atom.
Space group Cm (No. 8)
Asymmetric unit:
Tb (0.0000, 0.0000, 0.0000) x2  8 O 2.36-2.42
Tb (0.0000, 0.0000, 0.5000) x2  8 O 2.37-2.42
Tb (0.2500, 0.2500, 0.0000) x4  8 O 2.36-2.42
Ce (0.0000, 0.5000, 0.0000) x2  8 O 2.32-2.38
Ce (0.0000, 0.5000, 0.5000) x2  8 O 2.32-2.37
Ce (0.2500, 0.2500, 0.5000) x4  8 O 2.32-2.38
O (0.1174, 0.5000, 0.8674) x2  2 Ce 2.32, 2 Tb 2.42
O (0.1250, 0.0000, 0.8750) x2  4 Tb 2.37
O (0.1250, 0.2576, 0.1326) x4  2 Ce 2.32, 2 Tb 2.42
O (0.1250, 0.2576, 0.6174) x4  2 Ce 2.32, 2 Tb 2.42
O (0.1250, 0.5000, 0.3750) x2  4 Ce 2.37, 6 O 2.65
O (0.1326, 0.0000, 0.3826) x2  2 Ce 2.32, 2 Tb 2.42
O (0.3674, 0.5000, 0.6174) x2  2 Ce 2.32, 2 Tb 2.42
O (0.3750, 0.0000, 0.6250) x2  4 Ce 2.37, 4 O 2.65
O (0.3750, 0.2424, 0.3826) x4  2 Ce 2.32, 2 Tb 2.42
O (0.3750, 0.2513, 0.8763) x4  2 Tb 2.36, 2 Ce 2.38
O (0.3750, 0.5000, 0.1250) x2  4 Tb 2.37
O (0.3826, 0.0000, 0.1326) x2  2 Ce 2.32, 2 Tb 2.42

***

No. 2
The following is a DFT calculation (PBE-GGA) of a geometry-optimized Ba5Cd2Sb5F structure.

Properties
**Electronic total energy**: -3.83 eV/atom
**E_form**: -1.247 eV/atom
**Magnetization**: 0.00 μB per atom
**Mass density**: 5.6 g/cm3

Cell lengths 4.9879, 23.5226, 15.5618 Å; angles 90.00, 90.00, 90.00 degrees
With the nearest neighbours (Å) after each atom.
Space group Cmcm (No. 63)
Asymmetric unit:
Ba (0.0000, 0.0000, 0.0000) x4  6 Sb 3.50-3.51
Ba (0.0000, 0.0955, 0.2500) x4  2 F 2.81
Ba (0.0000, 0.1014, 0.7500) x4  6 Sb 3.54-3.60, 4 Cd 3.61
Ba (0.0000, 0.2747, 0.6179) x8  1 F 2.71
Cd (0.0000, 0.3665, 0.0892) x8  4 Sb 2.96-3.11
Sb (0.0000, 0.1488, 0.0101) x8  2 Cd 2.96
Sb (0.0000, 0.2919, 0.2500) x4  2 Cd 3.06
Sb (0.0000, 0.4905, 0.1585) x8  1 Sb 2.85, 1 Cd 3.11
F (0.0000, 0.3499, 0.7500) x4  4 Ba 2.71-2.81

***

No. 3
The following is a DFT calculation (PBE-GGA) of a geometry-optimized Y2OsC2 structure.

Properties
**Electronic total energy**: -8.90 eV/atom
**E_form**: -0.377 eV/atom
**Mass density**: 8.0 g/cm3

Cell lengths 6.4572, 5.1434, 9.8374 Å; angles 90.00, 90.00, 90.00 degrees
With the nearest neighbours (Å) after each atom.
Space group Pnma (No. 62)
Asymmetric unit:
Y (0.0234, 0.2500, 0.2217) x4  4 C 2.56-2.58
Y (0.1867, 0.2500, 0.5521) x4  5 C 2.48-2.60
Os (0.2292, 0.2500, 0.8639) x4  3 C 1.94-1.99
C (0.0341, 0.7500, 0.2421) x4  2 Os 1.94-1.99
C (0.1777, 0.7500, 0.5514) x4  1 Os 1.94

***

No. 4
The following is a DFT calculation (PBE-GGA) of a geometry-optimized CoNiSe4 structure.

Properties
**Electronic total energy**: -4.74 eV/atom
**E_form**: -0.573 eV/atom
**Magnetization**: 0.00 μB per atom
**Mass density**: 7.1 g/cm3

Cell lengths 5.8982, 5.8824, 5.8747 Å; angles 90.00, 90.69, 90.00 degrees
With the nearest neighbours (Å) after each atom.
Space group P2_1/c (No. 14)
Asymmetric unit:
Co (0.0000, 0.0000, 0.0000) x2  6 Se 2.40-2.42
Ni (0.5000, 0.0000, 0.5000) x2  6 Se 2.45-2.50
Se (0.1185, 0.1274, 0.6282) x4  2 Co 2.42, 1 Ni 2.50, 1 Se 2.53
Se (0.3717, 0.6199, 0.6197) x4  1 Co 2.40, 2 Ni 2.45-2.47, 1 Se 2.51

***

No. 5
The following is a DFT calculation (PBE-GGA) of a geometry-optimized Ba4Li4Ti19O44 structure.

Properties
**Electronic total energy**: -8.36 eV/atom
**E_form**: -3.394 eV/atom
**Magnetization**: 0.00 μB per atom
**Mass density**: 4.3 g/cm3

Cell lengths 5.8824, 10.0691, 14.1787 Å; angles 89.71, 89.66, 89.79 degrees
With the nearest neighbours (Å) after each atom.
Space group P1 (No. 1)
Asymmetric unit:
Ba (0.0000, 0.0000, 0.0000) x1  9 O 2.69-3.01
Ba (0.0048, 0.3053, 0.4949) x1  12 O 2.78-3.07
Ba (0.5013, 0.4870, 0.3143) x1  11 O 2.78-3.10
Ba (0.5094, 0.7891, 0.8043) x1  8 O 2.73-3.05
Li (0.0138, 0.9983, 0.5584) x1  5 O 1.99-2.23
Li (0.4627, 0.8089, 0.3496) x1  3 O 1.88-2.04
Li (0.5071, 0.4676, 0.8681) x1  4 O 1.95-2.08
Li (0.7819, 0.8943, 0.4267) x1  3 O 1.93-2.13
Ti (0.0006, 0.3314, 0.2365) x1  3 O 1.81-1.94
Ti (0.0071, 0.6532, 0.9028) x1  5 O 1.87-2.08
Ti (0.0101, 0.5087, 0.7296) x1  3 O 1.77-1.98
Ti (0.2484, 0.5576, 0.0767) x1  6 O 1.93-2.01
Ti (0.2508, 0.0586, 0.2411) x1  6 O 1.91-2.09
Ti (0.2508, 0.7368, 0.5739) x1  6 O 1.93-2.07
Ti (0.2607, 0.2395, 0.7290) x1  5 O 1.90-1.99
Ti (0.4919, 0.1606, 0.4205) x1  3 O 1.82-1.95
Ti (0.4947, 0.1257, 0.9064) x1  6 O 1.89-2.08
Ti (0.5025, 0.8276, 0.0754) x1  4 O 1.90-2.08
Ti (0.5044, 0.2802, 0.0709) x1  3 O 1.81-1.96
Ti (0.5189, 0.9853, 0.5815) x1  6 O 1.87-2.08
Ti (0.5271, 0.4903, 0.5702) x1  2 O 1.79-1.91
Ti (0.7507, 0.0659, 0.2385) x1  5 O 1.88-1.99
Ti (0.7511, 0.5578, 0.0742) x1  6 O 1.93-2.04
Ti (0.7589, 0.2386, 0.7343) x1  6 O 1.91-2.08
Ti (0.9909, 0.6374, 0.4173) x1  5 O 1.85-2.05
Ti (0.9938, 0.9687, 0.7497) x1  4 O 1.87-2.08
Ti (0.9968, 0.7815, 0.2383) x1  4 O 1.82-2.03
O (0.0018, 0.8295, 0.8378) x1  2 Ti 1.87-2.00
O (0.0027, 0.5027, 0.9960) x1  3 Ti 1.93-2.01
O (0.0055, 0.1429, 0.1693) x1  3 Ti 1.95-2.13
O (0.0075, 0.3212, 0.7964) x1  3 Ti 1.91-2.11
O (0.0065, 0.4553, 0.3283) x1  1 Ti 1.81
O (0.0104, 0.1440, 0.6670) x1  3 Ti 1.97-2.12, 1 Li 2.13
O (0.0147, 0.7906, 0.4881) x1  2 Ti 1.85-1.93, 1 Li 1.93
O (0.0337, 0.6496, 0.6556) x1  2 Ti 1.77-1.93
O (0.2094, 0.7064, 0.3151) x1  1 Ti 1.82, 1 Li 1.88
O (0.2255, 0.5726, 0.8256) x1  2 Ti 1.87-1.98, 1 Li 2.05
O (0.2481, 0.3925, 0.1569) x1  2 Ti 1.94-2.01
O (0.2479, 0.9014, 0.6542) x1  3 Ti 2.01-2.12, 1 Li 2.17
O (0.2491, 0.2139, 0.3185) x1  2 Ti 1.91-2.10
O (0.2554, 0.7169, 0.9964) x1  3 Ti 1.96-2.16
O (0.2552, 0.8902, 0.1560) x1  2 Ti 1.95-2.09
O (0.2560, 0.0663, 0.8187) x1  3 Ti 1.98-2.15
O (0.2590, 0.5702, 0.4886) x1  3 Ti 1.99-2.12
O (0.2596, 0.3974, 0.6544) x1  2 Ti 1.90-2.13
O (0.2855, 0.0832, 0.4992) x1  1 Ti 1.82, 1 Li 1.99
O (0.2902, 0.2078, 0.9915) x1  2 Ti 1.85-1.89
O (0.4889, 0.8362, 0.5050) x1  2 Ti 1.87-1.98
O (0.4918, 0.6388, 0.6379) x1  2 Ti 1.79-1.95
O (0.4972, 0.3255, 0.4737) x1  1 Ti 1.83
O (0.4999, 0.1335, 0.1618) x1  3 Ti 1.96-1.99
O (0.4998, 0.6448, 0.1436) x1  3 Ti 1.97-2.08
O (0.5008, 0.4642, 0.0101) x1  3 Ti 1.98-2.04, 1 Li 2.01
O (0.5035, 0.9552, 0.9760) x1  2 Ti 1.90-1.98
O (0.5053, 0.9956, 0.3202) x1  1 Li 1.94, 2 Ti 1.98
O (0.5064, 0.2874, 0.8185) x1  1 Li 1.95, 3 Ti 1.96-2.05
O (0.5118, 0.1578, 0.6611) x1  3 Ti 1.94-2.08
O (0.7129, 0.2088, 0.9920) x1  2 Ti 1.81-1.96
O (0.7281, 0.0688, 0.4911) x1  2 Ti 1.95-1.96, 2 Li 2.01-2.06
O (0.7429, 0.7159, 0.9950) x1  3 Ti 1.94-2.13
O (0.7425, 0.8904, 0.1531) x1  1 Ti 1.91
O (0.7542, 0.3916, 0.1570) x1  2 Ti 1.93-2.04
O (0.7548, 0.4010, 0.6546) x1  3 Ti 1.98-2.15
O (0.7560, 0.5450, 0.4818) x1  2 Ti 1.90-1.91
O (0.7590, 0.2175, 0.3156) x1  1 Ti 1.88
O (0.7625, 0.9235, 0.6638) x1  2 Ti 1.89-1.95
O (0.7692, 0.0723, 0.8217) x1  3 Ti 1.97-2.08
O (0.7746, 0.7243, 0.3267) x1  2 Ti 1.90-2.01, 1 Li 2.04
O (0.7902, 0.5737, 0.8229) x1  2 Ti 1.89-1.96, 1 Li 2.08
O (0.9945, 0.6342, 0.1525) x1  3 Ti 1.92-1.99
O (0.9962, 0.9626, 0.3010) x1  3 Ti 1.97-2.03

***

No. 6
The following is a DFT calculation (PBE-GGA) of a geometry-optimized Cs2IrF6 structure.

Properties
**Electronic total energy**: -4.64 eV/atom
**E_form**: -2.487 eV/atom
**Mass density**: 5.3 g/cm3

Cell lengths 6.3397, 6.3397, 5.1296 Å; angles 90.00, 90.00, 120.00 degrees
With the nearest neighbours (Å) after each atom.
Space group P-3m1 (No. 164)
Asymmetric unit:
Cs (0.3333, 0.6667, 0.2976) x2  12 F 3.20-3.31
Ir (0.0000, 0.0000, 0.0000) x1  6 F 1.98
F (0.1497, 0.2994, 0.7857) x6  1 Ir 1.98

***

No. 7
The following is a DFT calculation (PBE-GGA) of a geometry-optimized Sb4Pb4S11 structure.

Properties
**Electronic total energy**: -4.32 eV/atom
**E_form**: -0.565 eV/atom
**Magnetization**: 0.03 μB per atom
**Mass density**: 5.6 g/cm3

Cell lengths 15.6586, 15.8699, 3.9503 Å; angles 90.00, 90.00, 90.00 degrees
With the nearest neighbours (Å) after each atom.
Space group Pbam (No. 55)
Asymmetric unit:
Sb (0.0038, 0.2270, 0.0000) x4  3 S 2.47-2.62
Sb (0.1327, 0.9865, 0.0000) x4  3 S 2.45-2.61
Pb (0.1148, 0.4352, 0.5000) x4  5 S 2.86-3.07
Pb (0.2378, 0.1835, 0.5000) x4  5 S 2.85-2.99
S (0.0000, 0.5000, 0.0000) x2  4 Pb 2.86
S (0.0454, 0.6762, 0.5000) x4  2 Sb 2.62
S (0.0741, 0.1044, 0.5000) x4  1 Pb 2.85, 4 Sb 2.87-2.98
S (0.1468, 0.2925, 0.0000) x4  1 Sb 2.47
S (0.1696, 0.8850, 0.5000) x4  2 Sb 2.61
S (0.2253, 0.5519, 0.0000) x4  1 Sb 2.45

***

No. 8
The following is a DFT calculation (PBE-GGA) of a geometry-optimized Ba2CdPb structure.

Properties
**Electronic total energy**: -2.61 eV/atom
**E_form**: -0.488 eV/atom
**Mass density**: 6.2 g/cm3

Cell lengths 8.6099, 8.6099, 8.6099 Å; angles 90.00, 90.00, 90.00 degrees
With the nearest neighbours (Å) after each atom.
Space group Fm-3m (No. 225)
Asymmetric unit:
Ba (0.2500, 0.2500, 0.2500) x8  4 Cd 3.73, 4 Pb 3.73
Cd (0.0000, 0.0000, 0.0000) x4  8 Ba 3.73
Pb (0.0000, 0.0000, 0.5000) x4  8 Ba 3.73

***

No. 9
The following is a DFT calculation (PBE-GGA) of a geometry-optimized Gd2SiTeO4 structure.

Properties
**Electronic total energy**: -9.93 eV/atom
**E_form**: -3.208 eV/atom
**Magnetization**: 1.75 μB per atom
**Mass density**: 7.2 g/cm3

Cell lengths 6.2357, 7.1006, 11.2026 Å; angles 90.00, 90.00, 90.00 degrees
With the nearest neighbours (Å) after each atom.
Space group Pbcm (No. 57)
Asymmetric unit:
Gd (0.1112, 0.0333, 0.2500) x4  6 O 2.44-2.64
Gd (0.3880, 0.7500, 0.0000) x4  6 O 2.43-2.49
Si (0.1147, 0.2500, 0.0000) x4  4 O 1.64-1.67
Te (0.4085, 0.0922, 0.7500) x4  5 Gd 3.12-3.36, 6 O 3.29-3.38
O (0.0501, 0.7351, 0.6168) x8  1 Si 1.67
O (0.2732, 0.0725, 0.0335) x8  1 Si 1.64

***

No. 10
The following is a DFT calculation (PBE-GGA) of a geometry-optimized Ti4Ga3Ni2 structure.

Properties
**Electronic total energy**: -6.25 eV/atom
**E_form**: -0.448 eV/atom
**Magnetization**: 0.07 μB per atom
**Mass density**: 6.6 g/cm3

Cell lengths 7.3253, 7.3253, 2.8209 Å; angles 90.00, 90.00, 120.00 degrees
With the nearest neighbours (Å) after each atom.
Space group P-62m (No. 189)
Asymmetric unit:
Ti (0.0000, 0.0000, 0.0000) x1  5 Ti 2.69-2.82, 6 Ga 2.70
Ti (0.0000, 0.3669, 0.0000) x3  3 Ti 2.69-2.82, 4 Ni 2.72, 6 Ga 2.73-2.88
Ga (0.0000, 0.6863, 0.5000) x3  2 Ni 2.52, 4 Ti 2.70-2.73
Ni (0.3333, 0.6667, 0.5000) x2  3 Ga 2.52, 6 Ti 2.72

***

No. 11
The following is a DFT calculation (PBE-GGA) of a geometry-optimized Tm2CuTe2S2O14 structure.

Properties
**Electronic total energy**: -6.44 eV/atom
**E_form**: -2.286 eV/atom
**Magnetization**: 0.05 μB per atom
**Mass density**: 5.5 g/cm3

Cell lengths 5.1774, 7.9065, 8.1568 Å; angles 62.26, 74.07, 85.10 degrees
With the nearest neighbours (Å) after each atom.
Space group P-1 (No. 2)
Asymmetric unit:
Tm (0.0727, 0.2523, 0.0188) x2  7 O 2.24-2.49
Cu (0.0000, 0.0000, 0.5000) x1  4 O 1.95-2.07
Te (0.4903, 0.7262, 0.6562) x2  3 O 1.91-1.94
S (0.2535, 0.7489, 0.2484) x2  4 O 1.47-1.51
O (0.1380, 0.5891, 0.2370) x2  1 S 1.49
O (0.1422, 0.7456, 0.4359) x2  1 S 1.47
O (0.1754, 0.9254, 0.0909) x2  1 S 1.51
O (0.2463, 0.5590, 0.8926) x2  1 Te 1.91
O (0.2490, 0.9271, 0.6608) x2  1 Te 1.94, 1 Cu 1.95
O (0.2705, 0.1892, 0.2515) x2  1 Te 1.92, 1 Cu 2.07
O (0.4493, 0.2631, 0.7887) x2  1 S 1.49

***

No. 12
The following is a DFT calculation (PBE-GGA) of a geometry-optimized MgSi2 structure.

Properties
**Electronic total energy**: -4.01 eV/atom
**E_form**: 0.190 eV/atom
**Magnetization**: 0.00 μB per atom
**Mass density**: 2.3 g/cm3

Cell lengths 10.3009, 3.7519, 12.1608 Å; angles 90.00, 103.31, 90.00 degrees
With the nearest neighbours (Å) after each atom.
Space group Cm (No. 8)
Asymmetric unit:
Mg (0.0000, 0.0000, 0.0000) x2  4 Si 2.69-2.99
Mg (0.0242, 0.5000, 0.4725) x2  6 Si 2.73-3.05, 1 Mg 2.97
Mg (0.1733, 0.5000, 0.7124) x2  8 Si 2.70-2.95, 1 Mg 2.97
Mg (0.4215, 0.5000, 0.2487) x2  8 Si 2.82-3.08
Si (0.0221, 0.0000, 0.7824) x2  3 Si 2.34-2.41
Si (0.1429, 0.5000, 0.2932) x2  3 Si 2.40-2.41
Si (0.1964, 0.0000, 0.1888) x2  2 Si 2.40
Si (0.2423, 0.0000, 0.9044) x2  4 Si 2.41-2.46
Si (0.2453, 0.5000, 0.0333) x2  2 Si 2.44
Si (0.2529, 0.0000, 0.5646) x2  3 Si 2.42-2.50
Si (0.3172, 0.5000, 0.4631) x2  3 Si 2.41-2.42
Si (0.3825, 0.0000, 0.7658) x2  4 Si 2.34-2.50

***

No. 13
The following is a DFT calculation (PBE-GGA) of a geometry-optimized In2Co3N4 structure.

Properties
**Electronic total energy**: -6.31 eV/atom
**E_form**: 0.215 eV/atom
**Magnetization**: 0.05 μB per atom
**Mass density**: 6.8 g/cm3

Cell lengths 8.4751, 6.6205, 8.1034 Å; angles 90.00, 90.71, 90.00 degrees
With the nearest neighbours (Å) after each atom.
Space group C2/c (No. 15)
Asymmetric unit:
In (0.1550, 0.1957, 0.3297) x8  4 N 2.24-2.38
Co (0.0000, 0.2657, 0.7500) x4  4 N 1.86-1.92
Co (0.1277, 0.3440, 0.0141) x8  4 N 1.91-1.94
N (0.0882, 0.3730, 0.5606) x8  3 Co 1.86-1.94
N (0.1779, 0.1392, 0.8572) x8  3 Co 1.91-1.94

***

No. 14
The following is a DFT calculation (PBE-GGA) of a geometry-optimized Er5S7 structure.

Properties
**Electronic total energy**: -6.37 eV/atom
**E_form**: -2.351 eV/atom
**Mass density**: 6.6 g/cm3

Cell lengths 12.7098, 3.7731, 11.5249 Å; angles 90.00, 104.67, 90.00 degrees
With the nearest neighbours (Å) after each atom.
Space group C2/m (No. 12)
Asymmetric unit:
Er (0.0000, 0.0000, 0.0000) x2  6 S 2.66-2.72
Er (0.1123, 0.0000, 0.4221) x4  6 S 2.66-2.79
Er (0.1988, 0.5000, 0.8109) x4  7 S 2.72-2.94
S (0.0000, 0.5000, 0.5000) x2  4 Er 2.66
S (0.0403, 0.0000, 0.7846) x4  4 Er 2.66-2.72
S (0.1597, 0.5000, 0.0516) x4  5 Er 2.72-2.94
S (0.2406, 0.5000, 0.3527) x4  5 Er 2.74-2.91

***

No. 15
The following is a DFT calculation (PBE-GGA) of a geometry-optimized UTeSe structure.

Properties
**Electronic total energy**: -6.74 eV/atom
**E_form**: -0.916 eV/atom
**Magnetization**: 0.89 μB per atom
**Mass density**: 10.0 g/cm3

Cell lengths 6.0139, 5.2520, 9.3850 Å; angles 90.00, 90.00, 90.00 degrees
With the nearest neighbours (Å) after each atom.
Space group Pnma (No. 62)
Asymmetric unit:
U (0.2373, 0.2500, 0.0905) x4  5 Se 2.98-3.11
Te (0.0199, 0.2500, 0.7628) x4  2 Te 3.02, 3 U 3.34, 2 Se 3.37
Se (0.2316, 0.2500, 0.4222) x4  5 U 2.98-3.11